[1]
Entry from Materials Project: a relaxed Ho3Er crystal (PBE).

Structure (extended XYZ):
```
4
Lattice="-2.8514 2.8689 4.5511 -0.2759 5.9551 -1.2388 -1.5234 -4.8941 -3.2864" Properties=species:S:1:pos:R:3 pbc="T T T"
Ho -1.5636 4.4120 1.6562
Ho -2.9692 1.1934 1.4605
Ho -1.6815 2.7365 -1.4345
Er 0.0000 0.0000 0.0000
```

The distance to the lowest polymorph of the same formula is 16 meV per atom. The value obtained for the electronic total energy is -4.552 eV/atom. For the energy of formation from the pure elements, the calculation gives 0.027 eV per atom.



[2]
Entry from Materials Project: a relaxed Na10Y7NbSi6S6O48 crystal (PBE).

Structure (extended XYZ):
```
234
Lattice="-14.9808 7.7183 7.8840 -0.8045 -4.4871 -8.1450 -4.3631 -20.1239 11.5379" Properties=species:S:1:pos:R:3 pbc="T T T"
Si -8.8218 -2.4566 4.4635
O -11.3995 -9.4241 7.2685
O -9.6519 -15.4005 3.1289
O -8.8221 -3.1695 5.9075
Nb -16.4388 0.1816 1.5932
O -10.4766 -1.4269 8.0297
O -9.1497 -18.2081 9.1502
O -16.3421 -16.7061 11.8505
O -5.0170 -3.4552 -4.0324
Si -17.5176 -5.7314 11.8210
O -8.0591 -12.7484 5.6063
O -15.0572 -0.5957 2.6652
Y -19.3994 -13.9420 9.5594
S -2.5902 -11.2475 -0.4954
O -15.6238 -2.5915 4.3089
O -16.1561 0.6795 9.8220
O -5.6500 -6.1856 -0.7914
O -18.3345 -15.1065 11.0488
O -6.2657 -9.2288 -0.8510
O -3.9793 -11.4388 7.4635
Na -13.4619 1.3212 9.3729
Y -17.0963 -15.0374 15.1395
O -11.2955 -13.7210 5.5376
Si -14.4057 -1.6289 3.8884
O -16.1991 -3.4929 7.9816
S -3.2788 -1.7815 -0.2469
O -12.3601 -6.2898 6.8911
O -9.9979 -8.8897 9.1749
O -16.1052 -5.8881 3.8832
Si -5.7218 -15.3498 7.4304
O -13.2789 -4.2634 7.8847
O -2.9857 -5.4881 4.0416
O -11.1312 3.6357 3.5951
Na -16.4605 -0.0123 5.5109
Si -13.2654 -11.4787 11.4055
O -11.3744 -15.8555 6.6799
O -13.3348 -5.7524 10.7249
Na -11.6185 -1.1146 5.0275
O -5.7611 -8.1173 3.7989
Na -6.9425 -5.5376 3.7794
Y -15.6728 -8.8292 11.6412
O -12.5140 -13.8824 7.5722
Y -5.2567 -12.1572 1.8751
S -4.5933 -8.7395 3.1182
O -14.7708 -18.1584 9.2782
S -12.0411 -16.1053 11.6362
Y -8.1380 -12.6780 7.7581
S -10.0336 -9.5414 7.8352
O -7.6753 -4.5664 -1.3420
S -4.5600 -19.9742 7.7002
Si -16.0210 -8.4572 15.3182
Na -14.3434 -1.6954 7.6031
O -4.9473 -17.5883 3.6434
Na -19.9036 -16.7942 11.4589
S -11.5519 -4.4658 -0.2099
Y -11.9784 -17.8016 5.6570
O -8.5194 -9.6340 -0.0087
O -8.1989 -18.0263 6.7215
Si -5.3079 -10.5069 7.8847
Y -4.3464 -7.9208 -0.5546
O -12.9948 5.1894 5.9871
O -12.4658 -15.2260 10.5263
O -4.2797 -2.5111 0.5686
O -15.2672 -13.3279 15.3697
Na -5.9171 -2.5372 5.3104
Y -6.1376 -2.5852 1.9716
O -5.7080 -9.7027 6.5332
Y -10.3981 -9.1803 11.4198
Si -10.0194 -7.3521 3.4139
Y -6.6174 -18.1224 5.3362
O -14.6814 -10.8002 11.9575
O -10.7862 -18.9290 7.0721
O -12.5399 0.4207 -0.0618
Na -5.8885 -14.9999 3.5297
O -5.6361 -20.9644 7.8961
O -7.7996 -17.2449 11.4602
S -12.8215 -6.5814 11.8280
Y -14.9816 -4.8745 9.3937
Si -15.5918 -8.2850 8.1210
Si -16.8150 -15.1512 11.6528
Y -12.6849 -8.2096 5.7756
S -7.3074 -21.5112 4.0185
O -6.5685 -11.3985 8.3898
O -6.5274 -4.6190 1.1979
O -15.3244 -12.9308 7.8219
O -17.3628 -11.3294 7.0761
O -7.2955 -22.1504 5.3454
S -12.9822 4.5996 7.3394
O -4.5293 -8.1091 1.7666
Si -15.7313 2.9245 3.5064
Y -9.8459 -7.6812 -0.1034
O -5.4453 1.3216 2.0115
O -10.5188 -3.7908 -1.0361
Y -10.5795 1.7525 0.0608
Na -8.2576 -13.6049 1.5334
Y -13.6286 1.3505 5.8407
Na -4.1530 -5.1791 1.4174
O -7.8841 -10.4129 4.2590
O -1.0720 -4.6383 0.7863
O -4.7468 -3.6762 3.3686
O -9.5112 -13.0177 12.2957
O -6.8058 -12.7113 3.3134
O -12.7851 -12.4903 12.6023
S -14.8307 -6.4478 3.3495
O -8.4789 -7.3898 4.0304
O -17.6227 -5.0360 13.3579
O -9.7063 -10.9730 7.9528
O -11.5363 -3.8164 1.1344
O -15.9988 -9.1478 13.8466
Na -10.5444 -10.4703 1.8772
Y -11.7998 -4.2046 3.5131
O -14.2622 -2.6823 10.2162
O -6.2326 -22.1431 3.1968
O -16.6885 -14.3602 13.1131
O -13.1207 3.1239 7.2807
O -3.3494 -8.5567 3.8884
Y -17.2911 -3.7929 3.7710
S -8.5296 -12.3648 11.4100
Na -10.9033 -1.0074 1.7876
Na -8.4041 -15.4591 6.0396
O -11.1180 -8.0212 4.4228
O -11.5419 -7.1836 11.3905
O -9.6292 -0.2094 -0.0495
O -12.1333 -4.1352 5.7808
Si -10.8088 2.0358 3.6667
O -10.0695 -14.1063 7.6157
O -13.8203 -7.6187 12.2073
S -14.7763 -17.5986 7.9222
Y -7.3756 -8.7045 5.4346
O -17.5494 -10.2834 11.4664
O -7.0823 -20.0466 4.1482
O -14.1149 5.2100 8.1209
O -17.2750 -7.3291 11.8905
O -1.9356 -1.8587 0.3848
O -8.6860 -20.4512 7.7569
O -9.0099 -8.8347 7.0292
Na -3.2657 -14.8465 1.2022
Na -15.8245 -9.6271 5.3677
Na -14.3362 -14.6592 13.2950
O -3.2376 -2.4176 -1.5915
O -8.4637 -1.8985 -1.7682
O -2.8834 -7.6695 -5.0729
O -12.1396 -10.3186 11.1733
Si -9.2599 -18.9337 7.6515
O -7.1500 -14.6394 7.7951
O -4.4587 -19.2171 8.9879
O -10.8858 -4.6595 7.8290
Na -18.4287 -8.8561 13.6330
Na -8.8355 -15.7877 9.5408
O -8.6107 -0.8123 4.7308
O -3.6495 -0.3377 -0.3390
O -15.5351 -9.1413 9.5003
O -18.9988 -11.9281 10.5653
O -10.7514 -16.7392 11.2695
O -12.1134 0.1567 7.3672
O -9.3197 1.8124 4.3971
Na -5.2980 -12.0181 5.2204
Si -8.0933 -12.0284 4.1233
O -13.9742 -0.7878 5.2231
S -3.8525 -18.1922 2.8441
Si -6.9759 -5.4837 -0.1163
O -2.5915 -12.0005 -1.7716
O -3.0165 -9.8401 -0.6795
O -14.4692 -8.8205 7.0687
S -11.3195 -14.3833 6.8631
O -7.9736 -16.8840 3.8976
O -4.9392 -19.0297 6.5971
O -13.0794 -17.1111 11.9295
Na -3.5582 -5.0753 -2.2846
Nb -2.8584 -13.0838 7.3662
O -2.1162 -4.0257 -3.9810
O -7.8130 -1.9208 0.8293
Na -15.8855 -11.5909 9.9338
Na -13.2973 1.8966 1.9011
O -3.9990 -13.1965 3.2927
O -5.5870 -0.7416 3.2980
O -8.0801 -6.5598 0.3956
O -13.1259 -2.3492 3.1760
O -7.5724 -3.0638 3.5990
O -14.5061 -16.1297 7.9451
O -10.8626 1.3254 2.1931
O -9.4131 -12.3574 3.2099
O -6.7983 -11.1747 0.5102
Si -16.2432 1.4209 8.3915
O -8.5289 -13.0651 10.1147
O -15.3517 1.8689 4.6913
O -11.9021 1.2371 4.5736
O -15.7336 -14.3386 10.6916
O -15.6342 -6.6680 8.4208
O -11.8728 -15.3201 12.8978
O -13.5900 -12.2119 9.9708
O -13.8358 -5.3673 3.0900
O -14.3163 -7.3805 4.3910
Na -7.7088 -8.6390 2.2108
O -6.6105 1.3239 4.1136
Y -3.1559 -2.0892 -3.9262
S -5.4438 0.7243 3.3573
O -15.0074 0.8002 7.5186
Nb -8.0843 0.8842 5.5697
O -17.1119 -8.5666 7.4153
O -10.4090 -5.7745 3.0996
O -3.9411 -7.6410 -2.6739
O -4.8178 -10.1991 2.9740
Na -13.4451 -11.1176 7.9046
Na -16.3207 -11.9812 13.4438
Y -9.7263 -18.8417 11.1343
S -12.1567 -4.8388 7.0957
O -5.6003 -14.1282 1.0289
Na -6.7691 -18.3288 9.2769
O -4.4701 -14.1966 7.2382
Na -8.9730 -4.0026 1.7444
Y -14.1710 -14.1939 9.3067
O -3.5079 -11.9576 0.4233
Si -3.2952 -3.9130 4.0333
O -17.1500 -9.1909 16.2021
O -13.4173 -10.2637 4.9119
O -6.7749 -6.5247 6.3445
Na -17.9515 -6.7657 5.5325
O -16.2670 -4.9606 11.1283
O -14.4092 3.8245 3.1419
O -9.9909 -8.2707 2.0362
O -7.0160 0.0859 -0.8058
O -2.7071 -6.4740 -0.2570
S -7.2924 -10.2664 -0.5647
O -13.7042 -18.2996 7.1369
O -5.2990 -16.4034 8.5748
O -5.8457 -16.0681 5.9253
Si -8.2301 -0.9399 -0.3949
O -18.2616 -12.8830 15.2311
O -15.9400 2.0332 2.0693
Na -13.6583 -9.9774 14.0129
O -10.2513 -2.6166 3.6523
Na -8.0758 -0.5384 -3.9237
O -3.8115 -17.5053 1.5198
```

The value obtained for the electronic total energy is -7.067 eV/atom. For the energy of formation from the pure elements, the calculation gives -2.830 eV per atom. The calculation puts the magnetization at 0.00 μB/f.u.



[3]
Entry from Materials Project: a relaxed K2VAgSe2 crystal (PBE).

Structure (extended XYZ):
```
24
Lattice="12.0706 0.0000 0.0000 6.0353 4.7664 0.0000 6.0353 0.0000 12.4119" Properties=species:S:1:pos:R:3 pbc="T T T"
Se 11.1645 3.4271 8.3352
K 13.4268 3.9074 5.4527
Se 6.9413 1.3393 8.3352
K 7.6966 3.2422 0.7533
Ag 19.6146 3.5748 9.3089
Se 6.9413 3.4271 4.0767
Se 14.1821 1.0439 10.2826
Se 14.1821 3.7225 2.1292
K 10.4092 3.2422 11.6586
Ag 10.5617 1.1916 9.3089
Se 15.9943 3.7225 10.2826
Se 3.9237 1.0439 2.1292
V 13.5794 3.5748 9.3089
V 16.5970 3.5748 3.1030
K 7.6966 1.5242 11.6586
V 16.5970 1.1916 9.3089
K 16.7495 3.9074 6.9592
K 4.6790 0.8590 5.4527
Se 11.1645 1.3393 4.0767
K 13.4268 0.8590 6.9592
Ag 10.5617 3.5748 3.1030
K 10.4092 1.5242 0.7533
V 13.5794 1.1916 3.1030
Ag 7.5441 1.1916 3.1030
```

The value obtained for the electronic total energy is -3.789 eV/atom. For the energy of formation from the pure elements, the calculation gives -0.425 eV per atom. The calculation puts the magnetization at 3.15 μB/f.u.



[4]
Entry from Materials Project: a relaxed KNaMg2F6 crystal (PBE).

Structure (extended XYZ):
```
10
Lattice="0.0000 4.0076 4.0076 4.0076 0.0000 4.0076 4.0076 4.0076 0.0000" Properties=species:S:1:pos:R:3 pbc="T T T"
Na 4.0076 4.0076 4.0076
F 2.0038 0.0000 2.0038
F 4.0076 2.0038 2.0038
K 0.0000 0.0000 0.0000
F 2.0038 2.0038 0.0000
F 0.0000 2.0038 2.0038
Mg 2.0038 2.0038 2.0038
F 2.0038 2.0038 4.0076
F 2.0038 4.0076 2.0038
Mg 6.0113 6.0113 6.0113
```

The distance to the lowest polymorph of the same formula is 3 meV per atom. The value obtained for the electronic total energy is -4.933 eV/atom. For the energy of formation from the pure elements, the calculation gives -3.498 eV per atom. The calculation puts the magnetization at 0.00 μB/f.u.